1.
The following is a DFT calculation (PBE) of a geometry-optimized MoCl2 structure. Values from VASP.

Cell and atoms, written as Quantum ESPRESSO input:
```
&SYSTEM
  ibrav = 0, nat = 36, ntyp = 2
/
ATOMIC_SPECIES
Mo 95.94 Mo.upf
Cl 35.45 Cl.upf
CELL_PARAMETERS angstrom
7.401 -5.778 0.000
7.401 5.778 0.000
0.000 0.000 11.564
ATOMIC_POSITIONS angstrom
Mo 7.401 5.014 9.874
Mo 1.861 0.000 0.000
Mo 7.401 4.088 0.764
Mo 7.401 1.690 6.546
Mo 5.539 0.000 5.782
Mo 7.401 0.764 4.092
Mo 7.401 -0.764 7.472
Mo 9.262 0.000 5.782
Mo 7.401 -1.690 5.018
Mo 7.401 -4.088 10.801
Mo 12.940 0.000 0.000
Mo 7.401 -5.014 1.690
Cl 1.754 0.890 9.236
Cl 5.647 3.449 10.675
Cl 7.401 4.016 7.546
Cl 5.647 2.328 4.893
Cl 1.754 -0.890 2.328
Cl 3.151 0.000 5.782
Cl 4.250 0.000 0.000
Cl 5.647 0.890 8.110
Cl 9.154 3.449 10.675
Cl 7.401 1.761 1.764
Cl 9.154 2.328 4.893
Cl 5.647 -0.890 3.454
Cl 9.155 0.890 8.110
Cl 5.647 -2.328 6.671
Cl 7.401 -1.761 9.800
Cl 5.647 -3.449 0.889
Cl 9.155 -0.890 3.454
Cl 10.552 0.000 0.000
Cl 11.651 0.000 5.782
Cl 13.048 0.890 9.236
Cl 9.154 -2.328 6.671
Cl 7.401 -4.016 4.018
Cl 9.154 -3.449 0.889
Cl 13.048 -0.890 2.328
```



2.
The following is a DFT calculation (PBE) of a geometry-optimized NaTl structure. Values from VASP.

Cell and atoms, written as Quantum ESPRESSO input:
```
&SYSTEM
  ibrav = 0, nat = 24, ntyp = 2
/
ATOMIC_SPECIES
Na 22.99 Na.upf
Tl 204.38 Tl.upf
CELL_PARAMETERS angstrom
6.726 -7.077 0.000
6.726 7.077 0.000
0.000 0.000 7.793
ATOMIC_POSITIONS angstrom
Na 3.363 2.597 5.845
Na 2.100 0.000 0.000
Na 6.726 4.123 7.325
Na 6.726 2.954 3.428
Na 4.626 0.000 3.896
Na 3.363 -2.597 1.948
Na 10.089 2.597 5.845
Na 8.826 0.000 3.896
Na 6.726 -2.954 4.364
Na 6.726 -4.123 0.468
Na 11.352 0.000 0.000
Na 10.089 -2.597 1.948
Tl 1.896 1.617 2.889
Tl 6.726 6.086 2.320
Tl 4.830 1.617 1.008
Tl 1.896 -1.617 4.904
Tl 6.726 0.991 6.216
Tl 4.830 -1.617 6.785
Tl 8.622 1.617 1.008
Tl 6.726 -0.991 1.577
Tl 11.556 1.617 2.889
Tl 8.622 -1.617 6.785
Tl 6.726 -6.086 5.473
Tl 11.556 -1.617 4.904
```



3.
The following is a DFT calculation (PBE) of a geometry-optimized TbHSe structure. Values from VASP.

Cell and atoms, written as Quantum ESPRESSO input:
```
&SYSTEM
  ibrav = 0, nat = 3, ntyp = 3
/
ATOMIC_SPECIES
Tb 158.93 Tb.upf
H 1.01 H.upf
Se 78.96 Se.upf
CELL_PARAMETERS angstrom
3.864 0.000 0.000
-1.932 3.346 0.000
0.000 0.000 3.925
ATOMIC_POSITIONS angstrom
Tb 0.000 0.000 0.000
H 0.000 2.231 0.000
Se 1.932 1.115 1.962
```



4.
The following is a DFT calculation (PBE) of a geometry-optimized MnRu3 structure. Values from VASP.

Cell and atoms, written as Quantum ESPRESSO input:
```
&SYSTEM
  ibrav = 0, nat = 8, ntyp = 2
/
ATOMIC_SPECIES
Mn 54.94 Mn.upf
Ru 101.07 Ru.upf
CELL_PARAMETERS angstrom
5.386 0.000 0.000
-2.693 4.664 0.000
0.000 0.000 4.245
ATOMIC_POSITIONS angstrom
Mn 0.000 3.110 1.061
Mn 2.693 1.555 3.184
Ru 0.000 1.584 3.184
Ru -1.322 3.873 3.184
Ru 1.371 0.792 1.061
Ru 1.322 3.873 3.184
Ru 4.015 0.792 1.061
Ru 2.693 3.081 1.061
```



5.
The following is a DFT calculation (PBE) of a geometry-optimized TbAg structure. Values from VASP.

Cell and atoms, written as Quantum ESPRESSO input:
```
&SYSTEM
  ibrav = 0, nat = 2, ntyp = 2
/
ATOMIC_SPECIES
Tb 158.93 Tb.upf
Ag 107.87 Ag.upf
CELL_PARAMETERS angstrom
3.660 0.000 0.000
0.000 3.660 0.000
0.000 0.000 3.660
ATOMIC_POSITIONS angstrom
Tb 0.000 0.000 0.000
Ag 1.830 1.830 1.830
```



6.
The following is a DFT calculation (PBE) of a geometry-optimized Sc2SiSn2S5O24 structure. Values from VASP.

Cell and atoms, written as Quantum ESPRESSO input:
```
&SYSTEM
  ibrav = 0, nat = 102, ntyp = 5
/
ATOMIC_SPECIES
Sc 44.96 Sc.upf
Si 28.09 Si.upf
Sn 118.71 Sn.upf
S 32.06 S.upf
O 16.00 O.upf
CELL_PARAMETERS angstrom
8.822 0.000 0.000
4.411 7.665 0.000
0.124 0.058 22.900
ATOMIC_POSITIONS angstrom
Sc 0.000 0.000 0.000
Sc 0.056 0.034 4.669
Sc 4.647 7.545 16.131
Sc 4.479 2.580 8.644
Sc 4.604 2.530 20.024
Sc 8.981 5.079 18.997
Si 5.873 5.384 13.788
Si 7.615 2.176 2.334
Si 11.474 5.085 9.988
Sn 4.519 7.499 11.404
Sn 4.581 2.559 15.207
Sn 4.546 2.483 3.777
Sn 8.879 5.002 0.906
Sn 8.964 5.054 12.357
Sn 8.979 5.063 7.617
S 1.419 2.165 13.787
S 3.210 5.366 2.336
S 3.296 4.739 17.621
S 1.964 2.489 6.155
S 7.059 7.600 2.333
S 3.307 0.326 17.606
S 5.815 4.737 6.180
S 6.444 5.103 21.404
S 7.661 7.291 9.961
S 5.781 0.263 6.180
S 7.140 2.507 17.613
S 10.280 7.285 21.411
S 7.676 2.809 9.978
S 10.812 7.630 13.810
S 10.288 2.869 21.397
O 3.886 6.062 17.430
O 1.138 1.299 5.970
O 1.214 1.356 12.547
O 3.831 5.929 1.128
O 3.458 3.878 16.402
O 2.788 2.760 4.911
O 2.925 2.736 21.202
O 3.568 3.776 9.751
O 2.818 2.288 7.326
O 3.788 3.998 2.520
O 3.924 4.100 18.798
O 2.896 2.290 13.958
O 5.166 6.028 12.477
O 1.862 0.210 17.435
O 5.231 6.051 5.957
O 1.837 0.145 1.126
O 6.201 7.462 10.126
O 5.611 6.278 21.607
O 5.614 6.323 15.085
O 6.260 7.341 3.539
O 3.567 1.177 18.787
O 3.492 1.153 2.518
O 5.221 4.093 7.355
O 5.185 3.914 13.979
O 5.615 3.891 21.211
O 3.879 0.921 9.756
O 3.948 0.910 16.363
O 5.637 3.884 4.953
O 7.803 6.422 8.746
O 7.313 5.301 20.217
O 7.953 6.415 2.149
O 8.287 6.695 11.162
O 7.285 4.833 22.620
O 7.485 5.237 13.577
O 8.332 6.660 17.784
O 7.317 4.858 6.353
O 5.254 0.951 21.231
O 5.133 0.838 4.946
O 6.299 2.776 16.397
O 5.996 2.313 2.518
O 6.243 2.657 9.772
O 5.517 1.153 13.978
O 6.272 2.309 18.801
O 5.548 1.102 7.351
O 9.639 6.702 22.651
O 7.854 3.669 11.172
O 9.542 6.578 6.294
O 7.969 3.719 17.805
O 8.301 3.647 2.150
O 9.970 6.432 13.633
O 10.019 6.434 20.230
O 8.297 3.396 8.743
O 7.187 0.264 12.577
O 7.974 1.331 17.411
O 7.218 0.087 5.967
O 7.861 1.231 1.035
O 11.650 7.422 14.990
O 11.725 7.401 21.584
O 8.331 1.493 10.174
O 8.306 1.486 3.632
O 10.578 5.359 8.641
O 10.555 5.244 2.149
O 9.662 3.509 20.219
O 9.643 3.508 13.638
O 9.911 3.695 6.287
O 10.561 4.780 11.310
O 10.661 4.872 17.814
O 10.126 3.730 22.614
O 12.392 6.418 10.106
O 9.630 1.572 14.981
O 12.253 6.177 3.539
O 9.699 1.546 21.588
```



Listing theoretical density for the structures above in their given order: 3.36 6.11 7.82 11.15 9.04 2.89 g/cm3.
Listing energy relative to the elements for the structures above in their given order: -129.70 -9.16 -154.69 -0.38 -29.98 -222.71 kJ/mol of atoms.